[1]
Entry from Materials Project: crystalline MgTi3 at its relaxed geometry (PBE-GGA).

Values from the calculation:
Electronic total energy, eV per atom: -6.18

Cell lengths 5.671, 5.671, 5.671 Å; angles 150.61, 125.34, 63.27 degrees
Atoms (fractional coordinates):
Mg 0.329 0.000 0.329
Ti 0.841 0.500 0.341
Ti 0.247 0.249 0.999
Ti 0.750 0.751 0.999

---

[2]
Entry from Materials Project: crystalline Rb2NbF6 at its relaxed geometry (PBE-GGA).

Values from the calculation:
Electronic total energy, eV per atom: -5.54

Cell lengths 4.766, 6.298, 6.298 Å; angles 60.00, 90.00, 90.00 degrees
Atoms (fractional coordinates):
Nb 0.000 0.000 0.000
F 0.783 0.841 0.841
F 0.217 0.159 0.682
F 0.783 0.841 0.318
F 0.783 0.318 0.841
F 0.217 0.682 0.159
F 0.217 0.159 0.159
Rb 0.301 0.667 0.667
Rb 0.699 0.333 0.333

---

[3]
Entry from Materials Project: crystalline MgV2S5 at its relaxed geometry (PBE-GGA).

Values from the calculation:
Electronic total energy, eV per atom: -5.80

Cell lengths 3.921, 5.982, 14.382 Å; angles 90.00, 90.00, 90.00 degrees
Atoms (fractional coordinates):
S 0.500 0.881 0.820
S 0.000 0.926 0.000
S 0.000 0.423 0.890
S 0.500 0.881 0.180
S 0.000 0.119 0.680
S 0.000 0.423 0.110
S 0.000 0.119 0.320
S 0.500 0.577 0.390
S 0.500 0.577 0.610
S 0.500 0.074 0.500
Mg 0.500 0.634 0.000
Mg 0.000 0.366 0.500
V 0.500 0.917 0.348
V 0.500 0.917 0.652
V 0.000 0.083 0.152
V 0.000 0.083 0.848

---

[4]
Entry from Materials Project: crystalline NaTi2O3 at its relaxed geometry (PBE-GGA).

Values from the calculation:
Electronic total energy, eV per atom: -7.76
Polymorph energy (0 for the lowest one), kJ per mole of atoms: 0.0

Cell lengths 3.058, 3.058, 7.801 Å; angles 90.00, 90.00, 120.00 degrees
Atoms (fractional coordinates):
O 0.000 0.000 0.000
O 0.333 0.667 0.706
O 0.667 0.333 0.294
Ti 0.333 0.667 0.148
Ti 0.667 0.333 0.852
Na 0.000 0.000 0.500

---

[5]
Entry from Materials Project: crystalline EuAl12O19 at its relaxed geometry (PBE-GGA).

Values from the calculation:
Electronic total energy, eV per atom: -7.68

Cell lengths 5.628, 5.628, 22.192 Å; angles 90.00, 90.00, 120.00 degrees
Atoms (fractional coordinates):
O 0.000 0.000 0.593
O 0.502 0.498 0.891
O 0.667 0.333 0.797
O 0.333 0.667 0.297
O 0.503 0.005 0.095
O 0.497 0.995 0.595
O 0.845 0.690 0.294
O 0.000 0.000 0.093
O 0.182 0.363 0.993
O 0.155 0.845 0.794
O 0.845 0.691 0.690
O 0.005 0.503 0.595
O 0.637 0.818 0.993
O 0.333 0.667 0.688
O 0.497 0.503 0.595
O 0.502 0.005 0.891
O 0.690 0.845 0.794
O 0.845 0.155 0.294
O 0.182 0.818 0.993
O 0.155 0.309 0.190
O 0.363 0.182 0.493
O 0.845 0.155 0.690
O 0.005 0.502 0.391
O 0.498 0.995 0.391
O 0.000 0.000 0.890
O 0.310 0.155 0.294
O 0.155 0.845 0.190
O 0.309 0.155 0.690
O 0.503 0.497 0.095
O 0.498 0.502 0.391
O 0.995 0.498 0.891
O 0.818 0.637 0.493
O 0.995 0.497 0.095
O 0.667 0.333 0.188
O 0.155 0.310 0.794
O 0.818 0.182 0.493
O 0.000 0.000 0.390
O 0.691 0.845 0.190
Al 0.000 0.000 0.743
Al 0.168 0.335 0.351
Al 0.667 0.333 0.714
Al 0.168 0.832 0.351
Al 0.000 0.000 0.500
Al 0.665 0.832 0.351
Al 0.831 0.662 0.134
Al 0.169 0.338 0.634
Al 0.832 0.168 0.851
Al 0.333 0.667 0.771
Al 0.667 0.333 0.271
Al 0.831 0.169 0.134
Al 0.333 0.667 0.214
Al 0.667 0.333 0.552
Al 0.333 0.667 0.052
Al 0.335 0.168 0.851
Al 0.000 0.000 0.000
Al 0.832 0.665 0.851
Al 0.000 0.000 0.243
Al 0.667 0.333 0.433
Al 0.338 0.169 0.134
Al 0.333 0.667 0.933
Al 0.169 0.831 0.634
Al 0.662 0.831 0.634
Eu 0.333 0.667 0.491
Eu 0.667 0.333 0.991

---

[6]
Entry from Materials Project: crystalline WN2 at its relaxed geometry (PBE-GGA).

Values from the calculation:
Electronic total energy, eV per atom: -9.52

Cell lengths 5.018, 5.018, 5.018 Å; angles 90.00, 90.00, 90.00 degrees
Atoms (fractional coordinates):
N 0.351 0.351 0.351
N 0.851 0.149 0.649
N 0.649 0.649 0.649
N 0.149 0.649 0.851
N 0.649 0.851 0.149
N 0.351 0.149 0.851
N 0.851 0.351 0.149
N 0.149 0.851 0.351
W 0.000 0.500 0.500
W 0.500 0.000 0.500
W 0.000 0.000 0.000
W 0.500 0.500 0.000

---

[7]
Entry from Materials Project: crystalline LaTlAu2 at its relaxed geometry (PBE-GGA).

Values from the calculation:
Electronic total energy, eV per atom: -4.08

Cell lengths 5.188, 5.188, 5.188 Å; angles 60.00, 60.00, 60.00 degrees
Atoms (fractional coordinates):
La 0.500 0.500 0.500
Tl 0.000 0.000 0.000
Au 0.250 0.250 0.250
Au 0.750 0.750 0.750

---

[8]
Entry from Materials Project: crystalline RbYMg14 at its relaxed geometry (PBE-GGA).

Values from the calculation:
Electronic total energy, eV per atom: -1.73
Polymorph energy (0 for the lowest one), kJ per mole of atoms: 2.1

Cell lengths 6.658, 6.686, 10.651 Å; angles 90.00, 90.00, 120.14 degrees
Atoms (fractional coordinates):
Mg 0.664 0.835 0.125
Mg 0.668 0.835 0.625
Mg 0.340 0.179 0.390
Mg 0.340 0.661 0.390
Mg 0.833 0.166 0.376
Mg 0.166 0.833 0.625
Mg 0.664 0.329 0.125
Mg 0.340 0.179 0.860
Mg 0.833 0.166 0.874
Mg 0.340 0.661 0.860
Mg 0.668 0.334 0.625
Mg 0.819 0.660 0.387
Mg 0.819 0.660 0.863
Mg 0.164 0.332 0.625
Y 0.176 0.338 0.125
Rb 0.165 0.833 0.125

---

[9]
Entry from Materials Project: crystalline MnHg2C6S6N6 at its relaxed geometry (PBE-GGA).

Values from the calculation:
Electronic total energy, eV per atom: -6.46

Cell lengths 11.707, 14.387, 20.917 Å; angles 90.00, 100.58, 90.00 degrees
Atoms (fractional coordinates):
C 0.896 0.734 0.766
C 0.591 0.262 0.158
C 0.055 0.571 0.894
C 0.104 0.266 0.234
C 0.560 0.189 0.992
C 0.104 0.234 0.734
C 0.402 0.412 0.292
C 0.598 0.588 0.708
C 0.804 0.106 0.371
C 0.394 0.100 0.282
C 0.409 0.738 0.842
C 0.803 0.357 0.375
C 0.048 0.886 0.899
C 0.560 0.311 0.492
C 0.185 0.242 0.432
C 0.307 0.406 0.071
C 0.693 0.906 0.429
C 0.952 0.386 0.601
C 0.196 0.894 0.629
C 0.440 0.811 0.008
C 0.307 0.094 0.571
C 0.440 0.689 0.508
C 0.945 0.071 0.606
C 0.409 0.762 0.342
C 0.815 0.758 0.568
C 0.952 0.114 0.101
C 0.055 0.929 0.394
C 0.598 0.912 0.208
C 0.896 0.766 0.266
C 0.259 0.116 0.072
C 0.259 0.384 0.572
C 0.591 0.238 0.658
C 0.741 0.616 0.428
C 0.606 0.600 0.218
C 0.402 0.088 0.792
C 0.945 0.429 0.106
C 0.048 0.614 0.399
C 0.197 0.857 0.125
C 0.196 0.606 0.129
C 0.394 0.400 0.782
C 0.693 0.594 0.929
C 0.197 0.643 0.625
C 0.606 0.900 0.718
C 0.185 0.258 0.932
C 0.804 0.394 0.871
C 0.815 0.742 0.068
C 0.803 0.143 0.875
C 0.741 0.884 0.928
S 0.997 0.769 0.220
S 0.051 0.967 0.844
S 0.284 0.262 0.389
S 0.440 0.497 0.345
S 0.712 0.088 0.303
S 0.695 0.524 0.992
S 0.997 0.731 0.720
S 0.440 0.003 0.845
S 0.382 0.715 0.031
S 0.276 0.734 0.858
S 0.935 0.991 0.661
S 0.712 0.412 0.803
S 0.426 0.015 0.334
S 0.288 0.588 0.197
S 0.711 0.408 0.317
S 0.716 0.738 0.611
S 0.792 0.537 0.483
S 0.560 0.997 0.155
S 0.618 0.215 0.469
S 0.724 0.234 0.642
S 0.949 0.467 0.656
S 0.276 0.766 0.358
S 0.711 0.092 0.817
S 0.574 0.515 0.166
S 0.208 0.037 0.017
S 0.284 0.238 0.889
S 0.305 0.024 0.508
S 0.289 0.592 0.683
S 0.382 0.785 0.531
S 0.695 0.976 0.492
S 0.560 0.503 0.655
S 0.065 0.009 0.339
S 0.003 0.231 0.780
S 0.305 0.476 0.008
S 0.426 0.485 0.834
S 0.003 0.269 0.280
S 0.949 0.033 0.156
S 0.288 0.912 0.697
S 0.065 0.491 0.839
S 0.208 0.463 0.517
S 0.792 0.963 0.983
S 0.716 0.762 0.111
S 0.051 0.533 0.344
S 0.618 0.285 0.969
S 0.724 0.266 0.142
S 0.574 0.985 0.666
S 0.935 0.509 0.161
S 0.289 0.908 0.183
N 0.133 0.821 0.082
N 0.868 0.119 0.421
N 0.888 0.772 0.537
N 0.505 0.741 0.832
N 0.952 0.170 0.060
N 0.710 0.671 0.386
N 0.290 0.171 0.114
N 0.628 0.661 0.256
N 0.308 0.357 0.116
N 0.867 0.321 0.418
N 0.112 0.272 0.963
N 0.481 0.880 0.992
N 0.867 0.179 0.918
N 0.495 0.241 0.668
N 0.380 0.354 0.251
N 0.819 0.766 0.295
N 0.519 0.120 0.008
N 0.308 0.143 0.616
N 0.819 0.734 0.795
N 0.380 0.146 0.751
N 0.481 0.620 0.492
N 0.048 0.670 0.440
N 0.692 0.857 0.384
N 0.132 0.881 0.579
N 0.048 0.626 0.935
N 0.952 0.374 0.065
N 0.132 0.619 0.079
N 0.372 0.161 0.244
N 0.620 0.646 0.749
N 0.112 0.228 0.463
N 0.952 0.126 0.565
N 0.628 0.839 0.756
N 0.519 0.380 0.508
N 0.372 0.339 0.744
N 0.952 0.330 0.560
N 0.048 0.874 0.435
N 0.290 0.329 0.614
N 0.692 0.643 0.884
N 0.710 0.829 0.886
N 0.888 0.728 0.037
N 0.181 0.234 0.705
N 0.181 0.266 0.205
N 0.048 0.830 0.940
N 0.868 0.381 0.921
N 0.505 0.759 0.332
N 0.620 0.854 0.249
N 0.133 0.679 0.582
N 0.495 0.259 0.168
Hg 0.659 0.955 0.062
Hg 0.174 0.909 0.272
Hg 0.826 0.091 0.728
Hg 0.341 0.455 0.438
Hg 0.174 0.591 0.772
Hg 0.156 0.863 0.772
Hg 0.844 0.137 0.228
Hg 0.156 0.637 0.272
Hg 0.826 0.409 0.228
Hg 0.569 0.884 0.558
Hg 0.844 0.363 0.728
Hg 0.659 0.545 0.562
Hg 0.569 0.616 0.058
Hg 0.341 0.045 0.938
Hg 0.431 0.384 0.942
Hg 0.431 0.116 0.442
Mn 0.047 0.777 0.511
Mn 0.336 0.238 0.683
Mn 0.664 0.738 0.817
Mn 0.664 0.762 0.317
Mn 0.953 0.277 0.989
Mn 0.336 0.262 0.183
Mn 0.047 0.723 0.011
Mn 0.953 0.223 0.489

---

[10]
Entry from Materials Project: crystalline NaTa3O8 at its relaxed geometry (PBE-GGA).

Values from the calculation:
Electronic total energy, eV per atom: -9.12

Cell lengths 7.320, 7.320, 7.320 Å; angles 122.11, 120.07, 88.13 degrees
Atoms (fractional coordinates):
Ta 0.500 0.250 0.750
Ta 0.498 0.237 0.261
Ta 0.976 0.737 0.239
Ta 0.500 0.750 0.250
Ta 0.502 0.763 0.739
Ta 0.024 0.263 0.761
O 0.685 0.569 0.116
O 0.454 0.069 0.384
O 0.163 0.674 0.489
O 0.163 0.654 0.102
O 0.448 0.439 0.602
O 0.837 0.346 0.898
O 0.315 0.431 0.884
O 0.546 0.931 0.616
O 0.185 0.174 0.011
O 0.552 0.561 0.398
O 0.448 0.846 0.009
O 0.815 0.826 0.989
O 0.552 0.154 0.991
O 0.163 0.061 0.509
O 0.837 0.326 0.511
O 0.837 0.939 0.491
Na 0.000 0.750 0.750
Na 0.000 0.250 0.250